Version i
A plane-wave DFT calculation with PBE was carried out for a relaxed structure of KNaMg14O15.

Cell lengths 4.3895, 8.8416, 8.4933 Å; angles 90.00, 90.00, 90.00 degrees
Fractional positions:
K1 0.0000 0.0000 0.0000
Na1 0.0000 0.5000 0.0820
Mg1 0.0000 0.0000 0.5508
Mg2 0.0000 0.2470 0.3105
Mg3 0.0000 0.2828 0.8315
Mg4 0.0000 0.5000 0.5711
Mg5 0.0000 0.7172 0.8315
Mg6 0.0000 0.7530 0.3105
Mg7 0.5000 0.0000 0.3031
Mg8 0.5000 0.0000 0.8257
Mg9 0.5000 0.2464 0.5746
Mg10 0.5000 0.2578 0.0761
Mg11 0.5000 0.5000 0.3214
Mg12 0.5000 0.5000 0.8286
Mg13 0.5000 0.7422 0.0761
Mg14 0.5000 0.7536 0.5746
O1 0.0000 0.0000 0.3250
O2 0.0000 0.2329 0.5911
O3 0.0000 0.2576 0.0689
O4 0.0000 0.5000 0.3430
O5 0.0000 0.5000 0.8053
O6 0.0000 0.7424 0.0689
O7 0.0000 0.7671 0.5911
O8 0.5000 0.0000 0.0673
O9 0.5000 0.0000 0.5893
O10 0.5000 0.2391 0.8253
O11 0.5000 0.2472 0.3272
O12 0.5000 0.5000 0.0701
O13 0.5000 0.5000 0.5797
O14 0.5000 0.7528 0.3272
O15 0.5000 0.7609 0.8253



Version ii
A plane-wave DFT calculation with PBE was carried out for a relaxed structure of KNaMg14O15.

Cell lengths 4.4114, 8.7786, 8.6427 Å; angles 90.00, 90.00, 90.00 degrees
Fractional positions:
K1 0.0000 0.0000 0.0000
Na1 0.0000 0.5000 0.9948
Mg1 0.0000 0.0000 0.4890
Mg2 0.0000 0.2240 0.7416
Mg3 0.0000 0.2540 0.2306
Mg4 0.0000 0.5000 0.4708
Mg5 0.0000 0.7460 0.2306
Mg6 0.0000 0.7760 0.7416
Mg7 0.5000 0.0000 0.2404
Mg8 0.5000 0.0000 0.7375
Mg9 0.5000 0.2531 0.4895
Mg10 0.5000 0.2527 0.9805
Mg11 0.5000 0.5000 0.2214
Mg12 0.5000 0.5000 0.7451
Mg13 0.5000 0.7469 0.4895
Mg14 0.5000 0.7473 0.9805
O1 0.0000 0.0000 0.2684
O2 0.0000 0.0000 0.7132
O3 0.0000 0.2654 0.9716
O4 0.0000 0.2661 0.5007
O5 0.0000 0.5000 0.2481
O6 0.0000 0.7339 0.5007
O7 0.0000 0.7346 0.9716
O8 0.5000 0.0000 0.4910
O9 0.5000 0.0000 0.9739
O10 0.5000 0.2533 0.2373
O11 0.5000 0.2582 0.7339
O12 0.5000 0.5000 0.5050
O13 0.5000 0.5000 0.9757
O14 0.5000 0.7418 0.7339
O15 0.5000 0.7467 0.2373



Stability check: which of them is least stable? version ii.



Version i
A plane-wave DFT calculation with PBE was carried out for a relaxed structure of K2Na2MgTi2O6.

Cell lengths 5.7244, 6.2655, 6.6391 Å; angles 61.98, 85.31, 85.29 degrees
Fractional positions:
K1 0.2134 0.4852 0.1316
K2 0.7866 0.5148 0.8684
Na1 0.2136 0.1345 0.8749
Na2 0.7864 0.8655 0.1251
Mg1 0.5000 0.5000 0.5000
Ti1 0.2407 0.9085 0.5351
Ti2 0.7593 0.0915 0.4649
O1 0.0424 0.0484 0.2754
O2 0.2389 0.5647 0.6880
O3 0.4064 0.1688 0.5409
O4 0.5936 0.8312 0.4591
O5 0.7611 0.4353 0.3120
O6 0.9576 0.9516 0.7246



Version ii
A plane-wave DFT calculation with PBE was carried out for a relaxed structure of K2Na2MgTi2O6.

Cell lengths 7.2799, 7.2799, 5.5144 Å; angles 90.06, 90.06, 133.88 degrees
Fractional positions:
K1 0.0000 0.0000 0.0000
K2 0.5592 0.4408 0.5000
Na1 0.1232 0.8768 0.5000
Na2 0.3328 0.6672 0.0000
Mg1 0.3100 0.6900 0.5000
Ti1 0.7191 0.2809 0.0000
Ti2 0.8190 0.1810 0.5000
O1 0.5252 0.0082 0.2634
O2 0.5303 0.0061 0.7418
O3 0.5874 0.4126 0.0000
O4 0.9560 0.0440 0.5000
O5 0.9918 0.4748 0.7366
O6 0.9939 0.4697 0.2582



Stability check: which of them is least stable? version ii.



Version i
A plane-wave DFT calculation with PBE was carried out for a relaxed structure of K3MgNbO8.

Cell lengths 6.9822, 6.9822, 6.9822 Å; angles 128.70, 120.57, 82.31 degrees
Fractional positions:
K1 0.0000 0.0000 0.0000
K2 0.1788 0.6788 0.5000
K3 0.8212 0.3212 0.5000
Mg1 0.5000 0.0000 0.5000
Nb1 0.5000 0.5000 0.0000
O1 0.2249 0.1848 0.7075
O2 0.2812 0.7387 0.0485
O3 0.3098 0.2613 0.5425
O4 0.4773 0.5174 0.2925
O5 0.5227 0.8152 0.0401
O6 0.6902 0.2327 0.9515
O7 0.7188 0.7673 0.4575
O8 0.7751 0.4826 0.9599



Version ii
A plane-wave DFT calculation with PBE was carried out for a relaxed structure of K3MgNbO8.

Cell lengths 6.7488, 6.7488, 5.9551 Å; angles 112.97, 112.97, 98.67 degrees
Fractional positions:
K1 0.0000 0.0000 0.0000
K2 0.3127 0.9017 0.5628
K3 0.9017 0.3127 0.5628
Mg1 0.4626 0.4626 0.4202
Nb1 0.5277 0.5277 0.9844
O1 0.2318 0.4983 0.0934
O2 0.3072 0.3072 0.5765
O3 0.3084 0.7016 0.0581
O4 0.4983 0.2318 0.0934
O5 0.6596 0.6596 0.8196
O6 0.7016 0.3084 0.0581
O7 0.7227 0.7227 0.4653
O8 0.8098 0.8098 0.3184



Stability check: which of them is least stable? version ii.



Version i
A plane-wave DFT calculation with PBE was carried out for a relaxed structure of KMg6Ni.

Cell lengths 4.5439, 8.0997, 8.0997 Å; angles 44.42, 90.00, 90.00 degrees
Fractional positions:
K1 0.0000 0.0000 0.0000
Mg1 0.0000 0.4226 0.4226
Mg2 0.0000 0.4382 0.9627
Mg3 0.0000 0.9627 0.4382
Mg4 0.5000 0.0754 0.5765
Mg5 0.5000 0.5765 0.0754
Mg6 0.5000 0.6012 0.6012
Ni1 0.5000 0.1863 0.1863



Version ii
A plane-wave DFT calculation with PBE was carried out for a relaxed structure of KMg6Ni.

Cell lengths 5.0717, 6.4194, 11.1435 Å; angles 90.00, 90.00, 90.00 degrees
Fractional positions:
K1 0.5000 0.5000 0.1644
K2 0.5000 0.0000 0.6644
Mg1 0.5000 0.2539 0.4169
Mg2 0.5000 0.7461 0.4169
Mg3 0.0000 0.7771 0.0863
Mg4 0.0000 0.2229 0.0863
Mg5 0.0000 0.0000 0.3247
Mg6 0.0000 0.5000 0.3432
Mg7 0.5000 0.7539 0.9169
Mg8 0.5000 0.2461 0.9169
Mg9 0.0000 0.2771 0.5863
Mg10 0.0000 0.7229 0.5863
Mg11 0.0000 0.5000 0.8247
Mg12 0.0000 0.0000 0.8432
Ni1 0.5000 0.0000 0.1615
Ni2 0.5000 0.5000 0.6615



Stability check: which of them is least stable? version ii.



Version i
A plane-wave DFT calculation with PBE was carried out for a relaxed structure of K12MgPb4O10.

Cell lengths 6.4192, 8.4364, 12.3534 Å; angles 84.05, 83.55, 87.39 degrees
Fractional positions:
K1 0.0000 0.0000 0.0000
K2 0.0117 0.8374 0.7592
K3 0.1364 0.7525 0.2286
K4 0.2240 0.8963 0.4847
K5 0.3516 0.5346 0.7602
K6 0.5462 0.2287 0.9758
K7 0.5667 0.7693 0.9378
K8 0.6127 0.4707 0.2211
K9 0.6312 0.9154 0.2200
K10 0.7422 0.7638 0.4801
K11 0.8175 0.2486 0.4696
K12 0.9848 0.2482 0.7461
Mg1 0.7936 0.5747 0.6883
Pb1 0.1208 0.1832 0.2213
Pb2 0.3319 0.4789 0.5001
Pb3 0.5547 0.0300 0.7053
Pb4 0.9988 0.4914 0.9973
O1 0.0848 0.6142 0.6095
O2 0.3011 0.0179 0.1212
O3 0.4304 0.6742 0.3749
O4 0.6122 0.7669 0.7070
O5 0.6200 0.4646 0.5937
O6 0.7436 0.0364 0.8466
O7 0.8181 0.4973 0.8499
O8 0.8326 0.6776 0.0876
O9 0.8675 0.2717 0.1011
O10 0.9450 0.0023 0.3326



Version ii
A plane-wave DFT calculation with PBE was carried out for a relaxed structure of K12MgPb4O10.

Cell lengths 6.8568, 8.0153, 13.0265 Å; angles 77.16, 80.97, 84.15 degrees
Fractional positions:
K1 0.0000 0.0000 0.0000
K2 0.9998 0.4568 0.0127
K3 0.1051 0.0934 0.2359
K4 0.1108 0.6359 0.2452
K5 0.2346 0.3277 0.5153
K6 0.2484 0.8557 0.5012
K7 0.2900 0.0098 0.7603
K8 0.3673 0.5576 0.7495
K9 0.4621 0.2031 0.9947
K10 0.5842 0.8999 0.2324
K11 0.7021 0.0485 0.4437
K12 0.8517 0.8098 0.7417
Mg1 0.7059 0.2227 0.6418
Pb1 0.4209 0.7001 0.0035
Pb2 0.5577 0.3478 0.2249
Pb3 0.8122 0.6222 0.5170
Pb4 0.9341 0.3618 0.7726
O1 0.0552 0.5731 0.6352
O2 0.1770 0.2699 0.8603
O3 0.1766 0.7393 0.9095
O4 0.3055 0.8788 0.1089
O5 0.3208 0.4428 0.1147
O6 0.3931 0.1465 0.3401
O7 0.5998 0.7873 0.5986
O8 0.7504 0.1831 0.1315
O9 0.9623 0.8170 0.3884
O10 0.9746 0.1519 0.6706



Stability check: which of them is least stable? version ii.



Version i
A plane-wave DFT calculation with PBE was carried out for a relaxed structure of KRbMg14O15.

Cell lengths 4.1691, 8.5759, 10.4244 Å; angles 90.00, 90.00, 90.00 degrees
Fractional positions:
K1 0.0000 0.0000 0.0000
Rb1 0.0000 0.5000 0.5318
Mg1 0.0000 0.0000 0.5635
Mg2 0.0000 0.2438 0.2749
Mg3 0.0000 0.2763 0.8591
Mg4 0.0000 0.5000 0.0764
Mg5 0.0000 0.7237 0.8591
Mg6 0.0000 0.7562 0.2749
Mg7 0.5000 0.0000 0.3112
Mg8 0.5000 0.0000 0.7881
Mg9 0.5000 0.2342 0.0846
Mg10 0.5000 0.2606 0.6587
Mg11 0.5000 0.5000 0.2659
Mg12 0.5000 0.5000 0.8692
Mg13 0.5000 0.7394 0.6587
Mg14 0.5000 0.7658 0.0846
O1 0.0000 0.0000 0.3621
O2 0.0000 0.2061 0.6736
O3 0.0000 0.2639 0.0733
O4 0.0000 0.5000 0.2771
O5 0.0000 0.5000 0.8781
O6 0.0000 0.7361 0.0733
O7 0.0000 0.7939 0.6736
O8 0.5000 0.0000 0.1192
O9 0.5000 0.0000 0.6011
O10 0.5000 0.2140 0.8641
O11 0.5000 0.2579 0.2938
O12 0.5000 0.5000 0.0681
O13 0.5000 0.5000 0.6764
O14 0.5000 0.7421 0.2938
O15 0.5000 0.7860 0.8641



Version ii
A plane-wave DFT calculation with PBE was carried out for a relaxed structure of KRbMg14O15.

Cell lengths 4.4837, 8.9413, 8.6022 Å; angles 90.00, 90.00, 90.00 degrees
Fractional positions:
K1 0.0000 0.0000 0.0000
Rb1 0.0000 0.5000 0.8719
Mg1 0.0000 0.0000 0.4863
Mg2 0.0000 0.2159 0.7417
Mg3 0.0000 0.2614 0.2239
Mg4 0.0000 0.5000 0.4636
Mg5 0.0000 0.7386 0.2239
Mg6 0.0000 0.7841 0.7417
Mg7 0.5000 0.0000 0.2422
Mg8 0.5000 0.0000 0.7357
Mg9 0.5000 0.2491 0.9866
Mg10 0.5000 0.2546 0.4865
Mg11 0.5000 0.5000 0.2132
Mg12 0.5000 0.5000 0.7290
Mg13 0.5000 0.7454 0.4865
Mg14 0.5000 0.7509 0.9866
O1 0.0000 0.0000 0.2680
O2 0.0000 0.0000 0.7112
O3 0.0000 0.2590 0.9832
O4 0.0000 0.2703 0.5053
O5 0.0000 0.5000 0.2407
O6 0.0000 0.7297 0.5053
O7 0.0000 0.7410 0.9832
O8 0.5000 0.0000 0.4924
O9 0.5000 0.0000 0.9710
O10 0.5000 0.2525 0.2384
O11 0.5000 0.2604 0.7360
O12 0.5000 0.5000 0.4982
O13 0.5000 0.5000 0.9780
O14 0.5000 0.7396 0.7360
O15 0.5000 0.7475 0.2384



Stability check: which of them is least stable? version ii.